No. 1
DFT (PBE with a Hubbard U) results for an optimized crystal structure of LiVFeP4O14.

a = 7.192 Å, b = 9.734 Å, c = 16.944 Å
α = 102.12°, β = 96.13°, γ = 111.37°
Sites, in units of the cell vectors:
Li  0.000  0.000  0.000
Li  0.031  0.374  0.751
Li  0.279  0.623  0.251
Li  0.751  0.752  0.501
V  0.145  0.538  0.067
V  0.393  0.792  0.573
V  0.643  0.041  0.073
V  0.895  0.286  0.566
Fe  0.207  0.152  0.323
Fe  0.466  0.403  0.824
Fe  0.712  0.649  0.318
Fe  0.953  0.898  0.816
P  0.030  0.789  0.209
P  0.068  0.262  0.910
P  0.121  0.267  0.161
P  0.215  0.796  0.961
P  0.282  0.039  0.710
P  0.322  0.514  0.409
P  0.364  0.514  0.658
P  0.461  0.044  0.461
P  0.530  0.286  0.210
P  0.573  0.763  0.908
P  0.615  0.765  0.158
P  0.710  0.293  0.962
P  0.778  0.536  0.709
P  0.820  0.012  0.409
P  0.871  0.018  0.661
P  0.963  0.545  0.462
O  0.041  0.100  0.911
O  0.048  0.833  0.919
O  0.073  0.993  0.642
O  0.091  0.249  0.246
O  0.095  0.678  0.538
O  0.099  0.524  0.395
O  0.124  0.645  0.986
O  0.142  0.700  0.162
O  0.147  0.960  0.229
O  0.154  0.432  0.156
O  0.163  0.319  0.840
O  0.182  0.374  0.995
O  0.192  0.394  0.588
O  0.221  0.979  0.784
O  0.291  0.353  0.409
O  0.294  0.072  0.415
O  0.322  0.243  0.142
O  0.329  0.492  0.743
O  0.347  0.928  0.038
O  0.350  0.773  0.895
O  0.377  0.895  0.490
O  0.395  0.956  0.660
O  0.397  0.212  0.733
O  0.400  0.678  0.651
O  0.415  0.571  0.339
O  0.442  0.632  0.493
O  0.443  0.644  0.089
O  0.473  0.229  0.284
O  0.536  0.600  0.908
O  0.543  0.322  0.916
O  0.569  0.491  0.643
O  0.580  0.743  0.242
O  0.596  0.016  0.394
O  0.603  0.175  0.537
O  0.626  0.145  0.989
O  0.644  0.205  0.159
O  0.648  0.459  0.232
O  0.651  0.929  0.152
O  0.673  0.818  0.840
O  0.690  0.880  0.993
O  0.702  0.894  0.590
O  0.729  0.480  0.785
O  0.786  0.847  0.410
O  0.797  0.582  0.419
O  0.819  0.741  0.143
O  0.841  0.001  0.745
O  0.845  0.268  0.894
O  0.852  0.425  0.037
O  0.872  0.394  0.486
O  0.891  0.448  0.662
O  0.897  0.708  0.729
O  0.905  0.183  0.656
O  0.920  0.064  0.341
O  0.930  0.122  0.495
O  0.952  0.144  0.090
O  0.977  0.730  0.284

Results
* space group: P1 (1)
* energy above the most stable polymorph in this dataset: 0.05 eV/f.u.
* E_tot: -7.176 eV/atom

No. 2
DFT (PBE with a Hubbard U) results for an optimized crystal structure of Li2VFeP4O14.

a = 7.039 Å, b = 8.246 Å, c = 9.762 Å
α = 90.00°, β = 108.92°, γ = 90.00°
Sites, in units of the cell vectors:
Li  0.177  0.000  0.088
Li  0.178  0.000  0.588
Li  0.822  0.500  0.412
Li  0.823  0.500  0.912
V  0.229  0.636  0.608
V  0.771  0.136  0.392
Fe  0.231  0.635  0.109
Fe  0.769  0.135  0.891
P  0.021  0.317  0.700
P  0.022  0.317  0.200
P  0.414  0.420  0.894
P  0.415  0.420  0.394
P  0.585  0.920  0.606
P  0.586  0.920  0.106
P  0.978  0.817  0.800
P  0.979  0.817  0.300
O  0.005  0.480  0.623
O  0.007  0.482  0.123
O  0.017  0.674  0.406
O  0.018  0.674  0.906
O  0.105  0.815  0.699
O  0.106  0.815  0.198
O  0.254  0.289  0.797
O  0.254  0.290  0.297
O  0.352  0.459  0.526
O  0.353  0.460  0.026
O  0.383  0.830  0.065
O  0.384  0.832  0.564
O  0.417  0.570  0.301
O  0.419  0.570  0.802
O  0.581  0.070  0.198
O  0.583  0.070  0.699
O  0.616  0.332  0.436
O  0.617  0.330  0.935
O  0.647  0.960  0.974
O  0.648  0.959  0.474
O  0.746  0.789  0.203
O  0.746  0.790  0.703
O  0.894  0.315  0.802
O  0.895  0.315  0.301
O  0.982  0.174  0.094
O  0.983  0.174  0.594
O  0.993  0.982  0.877
O  0.995  0.980  0.377

Results
* space group: P2_1 (4)
* E_tot: -7.116 eV/atom

No. 3
DFT (PBE with a Hubbard U) results for an optimized crystal structure of LiVFeP4O14.

a = 7.269 Å, b = 8.170 Å, c = 9.626 Å
α = 89.70°, β = 69.18°, γ = 90.69°
Sites, in units of the cell vectors:
Li  0.584  0.372  0.739
Li  0.084  0.372  0.239
V  0.973  0.513  0.751
V  0.473  0.513  0.251
Fe  0.033  0.003  0.235
Fe  0.533  0.003  0.735
P  0.456  0.188  0.054
P  0.956  0.188  0.554
P  0.161  0.782  0.929
P  0.661  0.782  0.429
P  0.833  0.287  0.066
P  0.333  0.287  0.566
P  0.547  0.691  0.930
P  0.047  0.691  0.430
O  0.421  0.347  0.403
O  0.921  0.347  0.903
O  0.523  0.679  0.373
O  0.023  0.679  0.873
O  0.319  0.052  0.138
O  0.819  0.052  0.638
O  0.385  0.357  0.126
O  0.885  0.357  0.626
O  0.527  0.667  0.094
O  0.027  0.667  0.594
O  0.744  0.432  0.170
O  0.244  0.432  0.670
O  0.664  0.155  0.078
O  0.164  0.155  0.578
O  0.334  0.651  0.922
O  0.834  0.651  0.422
O  0.254  0.929  0.830
O  0.754  0.929  0.330
O  0.498  0.195  0.887
O  0.998  0.195  0.387
O  0.608  0.865  0.879
O  0.108  0.865  0.379
O  0.679  0.560  0.830
O  0.179  0.560  0.330
O  0.484  0.202  0.615
O  0.984  0.202  0.115
O  0.556  0.824  0.591
O  0.056  0.824  0.091

Results
* energy above the most stable polymorph in this dataset: 0.00 eV/f.u.
* E_tot: -7.179 eV/atom

No. 4
DFT (PBE with a Hubbard U) results for an optimized crystal structure of LiVFeP4O14.

a = 4.955 Å, b = 7.032 Å, c = 8.095 Å
α = 90.22°, β = 90.23°, γ = 106.55°
Sites, in units of the cell vectors:
Li  0.000  0.000  0.000
V  0.492  0.213  0.204
Fe  0.905  0.655  0.686
P  0.079  0.437  0.009
P  0.304  0.427  0.510
P  0.454  0.826  0.930
P  0.929  0.035  0.421
O  0.111  0.028  0.266
O  0.111  0.202  0.545
O  0.118  0.564  0.511
O  0.251  0.849  0.796
O  0.253  0.286  0.023
O  0.285  0.653  0.056
O  0.427  0.419  0.334
O  0.533  0.466  0.640
O  0.548  0.013  0.041
O  0.667  0.101  0.368
O  0.723  0.781  0.876
O  0.838  0.847  0.519
O  0.847  0.397  0.140
O  0.971  0.443  0.835

Results
* space group: P1 (1)
* energy above the most stable polymorph in this dataset: 0.45 eV/f.u.
* E_tot: -7.157 eV/atom